# 1
Material: Na3Li2Fe5Si10O30
Method: DFT, PBE+U
State: optimized geometry

Geometry as CIF:
```
data_Na3Li2Fe5Si10O30
_cell_length_a 6.6117
_cell_length_b 7.4543
_cell_length_c 22.6094
_cell_angle_alpha 85.40
_cell_angle_beta 86.37
_cell_angle_gamma 85.24
_space_group_name_H-M_alt 'P 1'
_space_group_IT_number 1
loop_
_space_group_symop_operation_xyz
'x,y,z'
loop_
_atom_site_label
_atom_site_fract_x
_atom_site_fract_y
_atom_site_fract_z
Na1 0.0000 0.0000 0.0000
Na2 0.0278 0.6468 0.3824
Na3 0.2274 0.0460 0.1827
Na4 0.4271 0.4475 0.9821
Na5 0.6274 0.8465 0.7822
Na6 0.8276 0.2468 0.5823
Li1 0.1637 0.3750 0.7915
Li2 0.3652 0.7742 0.5919
Li3 0.5655 0.1740 0.3921
Li4 0.7646 0.5737 0.1918
Fe1 0.0817 0.5627 0.5209
Fe2 0.1446 0.4847 0.6613
Fe3 0.2821 0.9626 0.3213
Fe4 0.3450 0.8846 0.4618
Fe5 0.4830 0.3599 0.1212
Fe6 0.5457 0.2842 0.2621
Fe7 0.6806 0.7648 0.9207
Fe8 0.7455 0.6836 0.0616
Fe9 0.8812 0.1627 0.7207
Fe10 0.9413 0.0855 0.8613
Si1 0.0406 0.3461 0.2823
Si2 0.0844 0.2518 0.4182
Si3 0.1438 0.7942 0.7643
Si4 0.1852 0.7046 0.8991
Si5 0.2424 0.7405 0.0837
Si6 0.2861 0.6508 0.2193
Si7 0.3442 0.1941 0.5648
Si8 0.3858 0.1034 0.7001
Si9 0.4371 0.1468 0.8823
Si10 0.4822 0.0486 0.0184
Si11 0.5446 0.5942 0.3650
Si12 0.5862 0.5032 0.5004
Si13 0.6400 0.5466 0.6819
Si14 0.6821 0.4514 0.8181
Si15 0.7452 0.9934 0.1649
Si16 0.7867 0.9030 0.3004
Si17 0.8403 0.9466 0.4820
Si18 0.8842 0.8519 0.6179
Si19 0.9415 0.3993 0.9638
Si20 0.9855 0.3042 0.1001
O1 0.0292 0.3044 0.0273
O2 0.0385 0.7048 0.0523
O3 0.0393 0.8024 0.4699
O4 0.0733 0.7008 0.6018
O5 0.0837 0.6236 0.7309
O6 0.1022 0.5500 0.2573
O7 0.1278 0.5009 0.9266
O8 0.1475 0.4163 0.4537
O9 0.1600 0.3494 0.5805
O10 0.1891 0.2488 0.7141
O11 0.1909 0.3380 0.1311
O12 0.1984 0.7452 0.1562
O13 0.2321 0.1203 0.8496
O14 0.2351 0.7018 0.8270
O15 0.2397 0.2020 0.2701
O16 0.2737 0.1007 0.4022
O17 0.2850 0.0231 0.5315
O18 0.2988 0.9460 0.0572
O19 0.3270 0.8989 0.7262
O20 0.3496 0.8153 0.2546
O21 0.3604 0.7493 0.3809
O22 0.3877 0.7426 0.9310
O23 0.3894 0.6486 0.5143
O24 0.3903 0.1431 0.9555
O25 0.4339 0.1037 0.6279
O26 0.4351 0.5203 0.6489
O27 0.4423 0.5992 0.0709
O28 0.4740 0.4992 0.2028
O29 0.4854 0.4228 0.3318
O30 0.4988 0.3501 0.8567
O31 0.5274 0.2988 0.5265
O32 0.5457 0.2131 0.0539
O33 0.5608 0.1482 0.1808
O34 0.5900 0.0484 0.3145
O35 0.5902 0.1393 0.7314
O36 0.5944 0.5452 0.7547
O37 0.6343 0.5035 0.4281
O38 0.6353 0.9202 0.4492
O39 0.6364 0.0036 0.8700
O40 0.6674 0.8961 0.0025
O41 0.6864 0.8221 0.1317
O42 0.7014 0.7502 0.6564
O43 0.7275 0.6987 0.3266
O44 0.7442 0.6159 0.8538
O45 0.7581 0.5526 0.9809
O46 0.7876 0.4466 0.1149
O47 0.7906 0.5395 0.5315
O48 0.7953 0.9456 0.5548
O49 0.8354 0.9042 0.2281
O50 0.8361 0.3196 0.2493
O51 0.8388 0.4023 0.6696
O52 0.8713 0.3008 0.8015
O53 0.8785 0.2340 0.9288
O54 0.9016 0.1503 0.4566
O55 0.9273 0.0980 0.1255
O56 0.9474 0.0164 0.6535
O57 0.9596 0.9494 0.7802
O58 0.9857 0.8474 0.9115
O59 0.9910 0.9392 0.3316
O60 0.9952 0.3451 0.3551
```



# 2
Material: ZrCoF6
Method: DFT, PBE+U
State: optimized geometry

Geometry as CIF:
```
data_ZrCoF6
_cell_length_a 8.1675
_cell_length_b 8.1675
_cell_length_c 8.1675
_cell_angle_alpha 90.00
_cell_angle_beta 90.00
_cell_angle_gamma 90.00
_space_group_name_H-M_alt 'F m -3 m'
_space_group_IT_number 225
_space_group_name_Hall '-F 4 2 3'
loop_
_atom_site_label
_atom_site_fract_x
_atom_site_fract_y
_atom_site_fract_z
Zr1 0.0000 0.0000 0.0000
Co1 0.0000 0.0000 0.5000
F1 0.0000 0.0000 0.2499
```



# 3
Material: Li4Cr2P4H3O16
Method: DFT, PBE+U
State: optimized geometry

Geometry as CIF:
```
data_Li4Cr2P4H3O16
_cell_length_a 4.9500
_cell_length_b 7.6934
_cell_length_c 8.3683
_cell_angle_alpha 89.31
_cell_angle_beta 88.15
_cell_angle_gamma 76.14
_space_group_name_H-M_alt 'P 1'
_space_group_IT_number 1
loop_
_space_group_symop_operation_xyz
'x,y,z'
loop_
_atom_site_label
_atom_site_fract_x
_atom_site_fract_y
_atom_site_fract_z
Li1 0.0000 0.0000 0.0000
Li2 0.1877 0.6914 0.2399
Li3 0.4892 0.5284 0.7704
Li4 0.7180 0.1691 0.4779
Cr1 0.1010 0.8463 0.6233
Cr2 0.6033 0.3504 0.1203
P1 0.2275 0.0908 0.2771
P2 0.4935 0.1037 0.7986
P3 0.7071 0.5915 0.4466
P4 0.9780 0.6112 0.9699
H1 0.0548 0.3773 0.5215
H2 0.1498 0.3271 0.7379
H3 0.5587 0.8688 0.1370
O1 0.0858 0.6494 0.8015
O2 0.1193 0.0418 0.4402
O3 0.2238 0.5014 0.0690
O4 0.2733 0.0011 0.8289
O5 0.3491 0.2937 0.7089
O6 0.3573 0.9071 0.1848
O7 0.4519 0.1988 0.2946
O8 0.4826 0.6738 0.5714
O9 0.5792 0.5384 0.2937
O10 0.6187 0.1580 0.9521
O11 0.7203 0.0222 0.6745
O12 0.7589 0.4955 0.9501
O13 0.8520 0.4001 0.5340
O14 0.8559 0.7864 0.0625
O15 0.9291 0.6931 0.4174
O16 0.9867 0.1897 0.1728
```



# 4
# PBE+U MgCr2W2O8, optimized geometry
data_MgCr2W2O8
_cell_length_a 5.2535
_cell_length_b 6.0482
_cell_length_c 6.1395
_cell_angle_alpha 61.70
_cell_angle_beta 78.86
_cell_angle_gamma 79.48
_space_group_name_H-M_alt 'P 1'
_space_group_IT_number 1
loop_
_space_group_symop_operation_xyz
'x,y,z'
loop_
_atom_site_label
_atom_site_fract_x
_atom_site_fract_y
_atom_site_fract_z
Mg1 0.0000 0.0000 0.0000
Cr1 0.7142 0.1224 0.6219
Cr2 0.7148 0.6068 0.1357
W1 0.2996 0.6565 0.6536
W2 0.3104 0.1813 0.1759
O1 0.1357 0.3229 0.8440
O2 0.1516 0.8483 0.3085
O3 0.4652 0.9891 0.5232
O4 0.4670 0.5116 0.0013
O5 0.5622 0.4788 0.4880
O6 0.6121 0.0042 0.0097
O7 0.9486 0.2954 0.3082
O8 0.9681 0.8077 0.8145
# Energy relative to the lowest polymorph listed for this composition (eV/atom): 0.126



no.,formation energy from the elements (meV/atom),total magnetization (μB per formula unit)
1,-2737,25.00
2,-3387,3.00
3,-2430,7.00
4,-2043,10.00